[1]
{"formula": "Li2Fe2Si3O10", "functional": "GGA+U", "state": "relaxed", "magmom_total_mub_per_fu": 10.0, "formation_energy_ev_per_atom": -2.576, "dft_energy_ev_per_atom": -6.995, "polymorph_energy_ev_per_atom": 0.047, "lattice_angstrom": [[0.0000, 9.1998, 3.4280], [8.5193, 0.0000, 3.4280], [8.5193, 9.1998, 0.0000]], "species": ["Li", "Li", "Li", "Li", "Fe", "Fe", "Fe", "Fe", "Si", "Si", "Si", "Si", "Si", "Si", "O", "O", "O", "O", "O", "O", "O", "O", "O", "O", "O", "O", "O", "O", "O", "O", "O", "O", "O", "O"], "fractional_positions": [[0.2121, 0.7879, 0.3871], [0.6371, 0.8629, 0.4621], [0.7879, 0.2121, 0.6129], [0.8629, 0.6371, 0.0379], [0.2010, 0.4737, 0.7554], [0.4737, 0.2010, 0.5698], [0.4946, 0.6802, 0.0490], [0.6802, 0.4946, 0.7763], [0.2075, 0.2075, 0.2925], [0.5137, 0.6771, 0.2792], [0.6771, 0.5137, 0.5300], [0.7200, 0.9708, 0.5729], [0.9575, 0.9575, 0.0425], [0.9708, 0.7200, 0.7363], [0.0716, 0.6259, 0.8140], [0.1643, 0.9741, 0.4757], [0.1777, 0.9857, 0.8574], [0.2709, 0.3926, 0.2643], [0.3405, 0.6526, 0.4753], [0.3926, 0.2709, 0.0723], [0.4360, 0.7615, 0.1784], [0.4545, 0.5203, 0.6717], [0.5203, 0.4545, 0.3535], [0.5783, 0.8965, 0.7955], [0.6259, 0.0716, 0.4885], [0.6526, 0.3405, 0.5316], [0.7184, 0.7747, 0.5974], [0.7615, 0.4360, 0.6241], [0.7743, 0.8641, 0.0857], [0.7747, 0.7184, 0.9095], [0.8641, 0.7743, 0.2759], [0.8965, 0.5783, 0.7297], [0.9741, 0.1643, 0.3859], [0.9857, 0.1777, 0.9791]]}

---

[2]
{"formula": "SrMoO3", "functional": "GGA+U", "state": "relaxed", "magmom_total_mub_per_fu": 2.0, "formation_energy_ev_per_atom": -2.557, "dft_energy_ev_per_atom": -6.980, "lattice_angstrom": [[-2.8891, 2.8891, 4.0288], [2.8891, -2.8891, 4.0288], [2.8891, 2.8891, -4.0288]], "species": ["Sr", "Sr", "Mo", "Mo", "O", "O", "O", "O", "O", "O"], "fractional_positions": [[0.2500, 0.7500, 0.5000], [0.7500, 0.2500, 0.5000], [0.0000, 0.0000, 0.0000], [0.5000, 0.5000, 0.0000], [0.1963, 0.6963, 0.8926], [0.2500, 0.2500, 0.0000], [0.3037, 0.1963, 0.5000], [0.6963, 0.8037, 0.5000], [0.7500, 0.7500, 0.0000], [0.8037, 0.3037, 0.1074]]}

---

[3]
{"formula": "EuZnSnWO6", "functional": "GGA+U", "state": "relaxed", "magmom_total_mub_per_fu": 7.0, "formation_energy_ev_per_atom": -2.164, "dft_energy_ev_per_atom": -7.126, "lattice_angstrom": [[0.0000, 4.0322, 4.0322], [4.0322, 0.0000, 4.0322], [4.0322, 4.0322, 0.0000]], "species": ["Eu", "Zn", "Sn", "W", "O", "O", "O", "O", "O", "O"], "fractional_positions": [[0.0000, 0.0000, 0.0000], [0.7500, 0.7500, 0.7500], [0.5000, 0.5000, 0.5000], [0.2500, 0.2500, 0.2500], [0.0080, 0.0080, 0.4920], [0.0080, 0.4920, 0.0080], [0.0080, 0.4920, 0.4920], [0.4920, 0.0080, 0.0080], [0.4920, 0.0080, 0.4920], [0.4920, 0.4920, 0.0080]]}